The following is a PBE calculation of a geometry-optimized Sm structure, from the Materials Project.

Computed properties:
Relative energy among the computed polymorphs ... 11 meV/atom
E_form ... 0.01 eV per atom
Calculated volume ... 34.3 Å³ per cell

```
Sm
1.0
0.000 2.578 2.578
2.578 0.000 2.578
2.578 2.578 0.000
Sm
1
Direct
0.000 0.000 0.000 Sm
```

---

The following is a PBE calculation of a geometry-optimized Sm structure, from the Materials Project.

Computed properties:
Relative energy among the computed polymorphs ... 0 meV/atom
E_form ... 0.00 eV per atom
Calculated volume ... 135.5 Å³ per cell

```
Sm
1.0
-3.587 0.375 -0.563
1.966 -2.193 -2.156
-2.081 -9.000 7.256
Sm
4
Direct
0.333 0.667 0.250 Sm
0.000 0.000 0.500 Sm
0.000 0.000 0.000 Sm
0.667 0.333 0.750 Sm
```

---

The following is a PBE calculation of a geometry-optimized Sm structure, from the Materials Project.

Computed properties:
Relative energy among the computed polymorphs ... 22 meV/atom
E_form ... 0.02 eV per atom
Calculated volume ... 68.7 Å³ per cell

```
Sm
1.0
-3.180 1.622 0.902
0.774 -3.368 1.270
2.541 2.360 4.711
Sm
2
Direct
0.333 0.667 0.250 Sm
0.667 0.333 0.750 Sm
```

---

The following is a PBE calculation of a geometry-optimized Sm2Sn5 structure, from the Materials Project.

Computed properties:
E_form ... -0.51 eV per atom
Calculated volume ... 378.9 Å³ per cell

```
Sm2Sn5
1.0
2.312 -17.658 0.000
2.312 17.658 0.000
0.000 0.000 4.641
Sn Sm
10 4
Direct
0.363 0.637 0.500 Sn
0.279 0.721 0.000 Sn
0.429 0.571 0.000 Sn
0.862 0.138 0.000 Sn
0.721 0.279 0.000 Sn
0.138 0.862 0.000 Sn
0.000 0.000 0.000 Sn
0.637 0.363 0.500 Sn
0.571 0.429 0.000 Sn
0.500 0.500 0.500 Sn
0.932 0.068 0.500 Sm
0.068 0.932 0.500 Sm
0.202 0.798 0.500 Sm
0.798 0.202 0.500 Sm
```

---

The following is a PBE calculation of a geometry-optimized Sm5Sn4 structure, from the Materials Project.

Computed properties:
E_form ... -0.75 eV per atom
Calculated volume ... 1088.0 Å³ per cell

```
Sm5Sn4
1.0
-8.189 0.000 0.000
0.000 0.000 -8.365
0.000 -15.883 0.000
Sn Sm
16 20
Direct
0.293 0.033 0.041 Sn
0.707 0.967 0.959 Sn
0.207 0.533 0.541 Sn
0.293 0.033 0.459 Sn
0.566 0.619 0.750 Sn
0.174 0.644 0.250 Sn
0.326 0.144 0.750 Sn
0.207 0.533 0.959 Sn
0.707 0.967 0.541 Sn
0.674 0.856 0.250 Sn
0.826 0.356 0.750 Sn
0.793 0.467 0.459 Sn
0.066 0.881 0.750 Sn
0.934 0.119 0.250 Sn
0.434 0.381 0.250 Sn
0.793 0.467 0.041 Sn
0.367 0.834 0.879 Sm
0.980 0.819 0.400 Sm
0.367 0.834 0.621 Sm
0.133 0.334 0.379 Sm
0.020 0.181 0.900 Sm
0.020 0.181 0.600 Sm
0.633 0.166 0.121 Sm
0.867 0.666 0.879 Sm
0.480 0.681 0.100 Sm
0.697 0.998 0.750 Sm
0.520 0.319 0.600 Sm
0.480 0.681 0.400 Sm
0.520 0.319 0.900 Sm
0.197 0.502 0.750 Sm
0.303 0.002 0.250 Sm
0.633 0.166 0.379 Sm
0.133 0.334 0.121 Sm
0.803 0.498 0.250 Sm
0.980 0.819 0.100 Sm
0.867 0.666 0.621 Sm
```

---

The following is a PBE calculation of a geometry-optimized SmZnSn structure, from the Materials Project.

Computed properties:
E_form ... -0.63 eV per atom
Calculated volume ... 292.9 Å³ per cell

```
SmZnSn
1.0
-2.277 -3.944 0.000
-2.277 3.944 0.000
0.000 0.000 -16.307
Sm Zn Sn
4 4 4
Direct
0.000 0.000 0.000 Sm
0.000 0.000 0.750 Sm
0.000 0.000 0.500 Sm
0.000 0.000 0.250 Sm
0.333 0.667 0.658 Zn
0.333 0.667 0.842 Zn
0.667 0.333 0.158 Zn
0.667 0.333 0.342 Zn
0.333 0.667 0.115 Sn
0.667 0.333 0.615 Sn
0.333 0.667 0.385 Sn
0.667 0.333 0.885 Sn
```

---

The following is a PBE calculation of a geometry-optimized Sr3Sm structure, from the Materials Project.

Computed properties:
E_form ... 0.18 eV per atom
Calculated volume ... 379.2 Å³ per cell

```
Sr3Sm
1.0
-2.965 5.676 5.085
0.355 1.492 -8.032
-6.013 -2.489 -0.728
Sr Sm
6 2
Direct
0.656 0.828 0.250 Sr
0.172 0.344 0.250 Sr
0.344 0.172 0.750 Sr
0.828 0.172 0.750 Sr
0.828 0.656 0.750 Sr
0.172 0.828 0.250 Sr
0.333 0.667 0.750 Sm
0.667 0.333 0.250 Sm
```

---

The following is a PBE calculation of a geometry-optimized Tb3Sm structure, from the Materials Project.

Computed properties:
Relative energy among the computed polymorphs ... 3 meV/atom
E_form ... 0.02 eV per atom
Calculated volume ... 265.0 Å³ per cell

```
Tb3Sm
1.0
3.628 -6.285 0.000
3.628 6.285 0.000
0.000 0.000 5.810
Tb Sm
6 2
Direct
0.668 0.834 0.250 Tb
0.834 0.668 0.750 Tb
0.332 0.166 0.750 Tb
0.166 0.332 0.250 Tb
0.166 0.834 0.250 Tb
0.834 0.166 0.750 Tb
0.333 0.667 0.750 Sm
0.667 0.333 0.250 Sm
```

---

The following is a PBE calculation of a geometry-optimized Tb3Sm structure, from the Materials Project.

Computed properties:
Relative energy among the computed polymorphs ... 0 meV/atom
E_form ... 0.02 eV per atom
Calculated volume ... 129.7 Å³ per cell

```
Tb3Sm
1.0
-2.528 2.528 5.072
2.528 -2.528 5.072
2.528 2.528 -5.072
Tb Sm
3 1
Direct
0.500 0.500 0.000 Tb
0.750 0.250 0.500 Tb
0.250 0.750 0.500 Tb
0.000 0.000 0.000 Sm
```

---

The following is a PBE calculation of a geometry-optimized TbSm3 structure, from the Materials Project.

Computed properties:
E_form ... 0.02 eV per atom
Calculated volume ... 270.9 Å³ per cell

```
TbSm3
1.0
-7.068 -1.155 -1.319
3.840 -4.883 3.799
-1.391 2.798 5.003
Sm Tb
6 2
Direct
0.167 0.833 0.250 Sm
0.167 0.334 0.250 Sm
0.666 0.833 0.250 Sm
0.334 0.167 0.750 Sm
0.833 0.167 0.750 Sm
0.833 0.666 0.750 Sm
0.333 0.667 0.750 Tb
0.667 0.333 0.250 Tb
```

---

The following is a PBE calculation of a geometry-optimized SmTe2 structure, from the Materials Project.

Computed properties:
E_form ... -1.51 eV per atom
Calculated volume ... 182.3 Å³ per cell

```
SmTe2
1.0
4.488 0.000 0.000
0.000 4.488 0.000
0.000 0.000 9.051
Te Sm
4 2
Direct
0.000 0.500 0.371 Te
0.000 0.000 0.000 Te
0.500 0.000 0.629 Te
0.500 0.500 0.000 Te
0.500 0.000 0.271 Sm
0.000 0.500 0.729 Sm
```

---

The following is a PBE calculation of a geometry-optimized SmTe structure, from the Materials Project.

Computed properties:
E_form ... -1.49 eV per atom
Calculated volume ... 56.9 Å³ per cell

```
SmTe
1.0
-1.638 -3.384 0.809
1.690 0.008 3.454
-3.041 1.827 1.484
Sm Te
1 1
Direct
0.500 0.500 0.500 Sm
0.000 0.000 0.000 Te
```